No. 1
The following is a PBE+U calculation of a relaxed VPb2Se2ClO8 crystal, from the Materials Project.

```
28
Lattice="8.532 0.000 0.000 0.000 5.386 0.000 -4.153 0.000 10.173" Properties=species:S:1:pos:R:3 pbc="T T T"
V 1.055 0.000 0.576
V 3.323 2.693 9.598
Pb -0.329 5.308 5.073
Pb -0.633 2.855 8.270
Pb 5.011 0.162 1.903
Pb 4.707 2.615 5.100
Se -2.945 5.276 7.382
Se 2.391 2.644 1.948
Se 1.988 5.337 8.226
Se 7.323 2.583 2.791
Cl 0.907 2.531 5.630
Cl 3.471 5.224 4.543
O 0.075 3.713 0.325
O -2.112 4.087 6.385
O -2.120 1.296 6.801
O 0.593 0.209 2.160
O -2.146 4.887 8.872
O 2.484 1.417 0.647
O 2.715 4.091 1.037
O 0.439 5.074 7.547
O 3.939 2.381 2.626
O 1.663 1.398 9.136
O 1.895 4.110 9.526
O 6.524 2.194 1.301
O 3.786 2.902 8.013
O 6.498 3.989 3.372
O 6.490 1.394 3.788
O 4.303 1.020 9.848
```

Energy relative to the elements, kcal/mol of atoms: -37.36
Calculated volume, Å³ per cell: 467.5

No. 2
The following is a PBE+U calculation of a relaxed MgMoF6 crystal, from the Materials Project.

```
8
Lattice="2.699 1.558 4.675 -2.699 1.558 4.675 0.000 -3.117 4.675" Properties=species:S:1:pos:R:3 pbc="T T T"
Mg 0.000 0.000 0.000
Mo 0.000 0.000 7.012
F -0.474 -1.544 5.827
F -1.574 -0.362 8.198
F -1.100 1.183 5.827
F 1.100 -1.183 8.198
F 1.574 0.362 5.827
F 0.474 1.544 8.198
```

Energy relative to the elements, kcal/mol of atoms: -73.27
Calculated volume, Å³ per cell: 118.0

No. 3
The following is a PBE+U calculation of a relaxed H8W3SeN2O12 crystal, from the Materials Project.

```
52
Lattice="7.348 0.000 0.000 -3.674 6.363 0.000 0.000 0.000 12.594" Properties=species:S:1:pos:R:3 pbc="T T T"
H -0.809 3.700 0.000
H -0.006 3.256 4.888
H -0.851 4.740 4.888
H 0.000 4.242 3.515
H 0.000 4.242 11.201
H -0.065 5.213 0.000
H 0.874 3.813 0.000
H 0.857 4.730 4.888
H 2.817 1.633 11.185
H 2.800 2.550 6.297
H 3.739 1.150 6.297
H 3.674 2.121 4.904
H 3.674 2.121 9.812
H 4.525 1.623 11.185
H 3.680 3.107 11.185
H 4.482 2.663 6.297
W -0.035 2.157 7.957
W -1.789 5.315 7.957
W 1.850 1.109 1.660
W 1.824 5.255 7.957
W 5.462 1.048 1.660
W 3.709 4.207 1.660
Se 0.000 0.000 5.074
Se 0.000 0.000 11.371
N 0.000 4.242 4.539
N 0.000 4.242 12.238
N 3.674 2.121 5.940
N 3.674 2.121 10.837
O -1.379 3.465 7.380
O -0.031 1.585 5.814
O -0.017 1.582 1.789
O -2.296 5.587 1.789
O -2.286 5.597 5.814
O -0.042 2.575 9.668
O -1.423 5.112 9.668
O 1.361 0.806 8.086
O 1.357 0.819 12.111
O 2.209 1.324 3.371
O 1.362 3.436 7.380
O 0.017 5.825 7.380
O 3.657 0.538 1.083
O 2.312 2.927 1.083
O 1.465 5.039 9.668
O 2.316 5.544 5.814
O 2.313 5.558 1.789
O 5.096 1.251 3.371
O 3.716 3.788 3.371
O 5.960 0.766 12.111
O 5.969 0.776 8.086
O 3.691 4.781 8.086
O 3.704 4.778 12.111
O 5.053 2.898 1.083
```

Energy relative to the elements, kcal/mol of atoms: -33.20
Piezoelectric modulus e_max, C/m²: 0.9
Calculated volume, Å³ per cell: 588.8

No. 4
The following is a PBE+U calculation of a relaxed Al3CrO6 crystal, from the Materials Project.

```
20
Lattice="5.244 0.000 0.000 0.000 4.877 0.000 -0.714 0.000 7.145" Properties=species:S:1:pos:R:3 pbc="T T T"
Al 0.000 0.007 0.000
Al -0.357 4.870 3.573
Al 1.549 0.012 5.689
Al 1.906 4.865 2.116
Al 2.224 2.432 3.592
Al 2.581 2.445 0.019
Cr 4.500 2.431 2.135
Cr 4.143 2.446 5.708
O 0.098 0.667 1.749
O -0.259 4.210 5.321
O 0.456 1.459 6.471
O 0.813 3.418 2.899
O 1.451 0.769 3.950
O 1.808 4.108 0.377
O 2.643 1.688 1.745
O 2.286 3.189 5.317
O 3.019 0.923 6.458
O 3.376 3.954 2.886
O 4.036 1.631 3.905
O 4.393 3.246 0.332
```

Energy relative to the elements, kcal/mol of atoms: -72.55
Calculated volume, Å³ per cell: 182.7

No. 5
The following is a PBE+U calculation of a relaxed CoP4O12 crystal, from the Materials Project.

```
34
Lattice="6.402 -3.963 0.000 6.402 3.963 0.000 -4.579 0.000 8.993" Properties=species:S:1:pos:R:3 pbc="T T T"
Co 3.201 1.981 0.000
Co 0.912 -1.981 4.496
P -0.876 0.093 6.186
P 1.413 -0.093 1.690
P 1.777 2.011 8.858
P 4.159 2.011 4.631
P 4.066 -2.011 4.361
P 6.448 -2.011 0.135
P 6.812 0.093 7.303
P 9.101 -0.093 2.806
O 1.661 3.077 7.628
O 2.928 2.607 3.791
O -0.943 0.534 7.608
O 5.090 2.052 0.680
O 4.274 3.077 5.861
O 2.698 0.583 1.273
O 7.587 2.607 0.706
O 1.346 -0.534 3.111
O 5.424 2.052 3.817
O 0.409 -0.583 5.769
O 3.673 0.709 5.258
O 2.263 0.709 8.231
O 5.962 -0.709 0.762
O 4.552 -0.709 3.735
O 7.816 0.583 3.224
O 2.801 -2.052 5.176
O 6.879 0.534 5.882
O 0.638 -2.607 8.287
O 5.527 -0.583 7.720
O 3.951 -3.077 3.132
O 3.135 -2.052 8.313
O 9.168 -0.534 1.385
O 5.297 -2.607 5.202
O 6.564 -3.077 1.365
```

Energy relative to the elements, kcal/mol of atoms: -51.23
Relative energy among the computed polymorphs, eV/atom: 0.0000
Calculated volume, Å³ per cell: 456.3

No. 6
The following is a PBE+U calculation of a relaxed Li9Mn7O16 crystal, from the Materials Project.

```
32
Lattice="9.812 -1.436 0.000 9.812 1.436 0.000 -1.637 0.000 10.582" Properties=species:S:1:pos:R:3 pbc="T T T"
Li 0.000 0.000 0.000
Li 2.091 0.000 1.942
Li 1.303 0.000 7.293
Li 6.412 0.000 5.974
Li 7.306 0.000 0.636
Li 10.682 0.000 9.946
Li 11.575 0.000 4.608
Li 16.685 0.000 3.289
Li 15.897 0.000 8.640
Mn -0.818 0.000 5.291
Mn 3.482 0.000 9.259
Mn 4.305 0.000 3.970
Mn 8.498 0.000 8.065
Mn 9.490 0.000 2.517
Mn 13.683 0.000 6.612
Mn 14.505 0.000 1.323
O -0.262 0.000 8.823
O 0.566 0.000 3.515
O 3.680 0.000 0.440
O 2.856 0.000 5.730
O 4.873 0.000 7.477
O 5.711 0.000 2.192
O 7.265 0.000 9.392
O 8.078 0.000 4.315
O 9.910 0.000 6.267
O 10.723 0.000 1.190
O 12.277 0.000 8.390
O 13.115 0.000 3.105
O 15.132 0.000 4.852
O 14.308 0.000 10.142
O 17.422 0.000 7.067
O 18.249 0.000 1.759
```

Energy relative to the elements, kcal/mol of atoms: -48.97
Relative energy among the computed polymorphs, eV/atom: 0.0209
Calculated volume, Å³ per cell: 298.1

Question: Which value of calculated volume does entry 4 give?
Answer: 182.7 Å³ per cell